# 1
Here is a geometry-optimized Tl6WO12 structure from the Materials Project. Energies are from meta-GGA r2SCAN.

The structure in extended XYZ format:
```
19
Lattice="4.221 -4.890 0.002 4.221 4.890 0.002 -1.446 0.000 6.295" Properties=species:S:1:pos:R:3 pbc="T T T"
O 2.975 4.288 4.472
O 4.330 -2.080 3.671
Tl 6.008 -0.841 2.497
Tl 2.673 -2.295 1.931
O 6.797 -0.990 0.227
Tl 3.348 -1.454 5.451
O 1.630 -1.187 3.778
O 5.168 3.298 0.553
O 5.365 1.187 2.521
O 1.827 -3.298 5.746
W 0.000 0.000 0.000
O 2.954 0.893 5.199
O 2.665 2.080 2.629
O 4.021 -4.288 1.827
O 0.198 0.990 6.072
Tl 4.323 2.295 4.369
O 4.041 -0.893 1.101
Tl 3.648 1.454 0.848
Tl 0.988 0.841 3.802
```

Formation energy from the elements = -1113.5 meV/atom
Magnetization = 0.00 μB/cell
Calculated total energy = -24.383 eV/atom

# 2
Here is a geometry-optimized TlW6O18 structure from the Materials Project. Energies are from meta-GGA r2SCAN.

The structure in extended XYZ format:
```
25
Lattice="3.705 -6.417 0.000 3.705 6.417 0.000 0.000 0.000 7.615" Properties=species:S:1:pos:R:3 pbc="T T T"
O 3.705 0.000 0.000
O 5.046 1.364 5.699
O 1.852 -3.208 0.000
O 3.705 3.688 1.916
O 1.852 3.208 0.000
O 2.363 -1.364 1.916
O 3.705 0.000 3.808
O 1.852 -3.208 3.808
O 3.705 3.688 5.699
O 3.705 -3.688 5.699
O 5.046 -1.364 1.916
Tl 0.000 0.000 3.808
W 1.852 3.208 1.899
W 3.705 0.000 1.899
W 1.852 -3.208 1.899
W 3.705 0.000 5.716
O 2.363 1.364 5.699
W 1.852 -3.208 5.716
O 5.046 1.364 1.916
O 2.363 -1.364 5.699
O 3.705 -3.688 1.916
O 2.363 1.364 1.916
O 1.852 3.208 3.808
O 5.046 -1.364 5.699
W 1.852 3.208 5.716
```

Formation energy from the elements = -2230.6 meV/atom
Magnetization = 0.00 μB/cell
Calculated total energy = -20.986 eV/atom

# 3
Here is a geometry-optimized Tm2O3 structure from the Materials Project. Energies are from meta-GGA r2SCAN.

The structure in extended XYZ format:
```
40
Lattice="-0.113 1.169 -8.918 0.393 -8.790 1.867 -7.477 3.494 3.577" Properties=species:S:1:pos:R:3 pbc="T T T"
O -5.755 1.259 -3.251
Tm -3.738 1.747 1.788
Tm -1.882 -4.981 -2.340
Tm -3.599 -2.064 -1.737
O -0.351 0.367 -2.251
Tm -5.430 -1.734 1.154
Tm 0.196 -4.395 0.934
Tm -5.683 3.245 -4.238
O -7.203 1.877 -0.653
O -5.618 -1.345 -1.095
Tm -3.959 0.251 -4.253
O -3.376 0.130 -2.116
Tm -1.634 -0.309 -7.380
Tm -0.024 -5.891 -5.108
O -7.211 -1.825 -3.637
O -1.698 -2.530 -6.823
O -3.348 -2.109 0.486
Tm -1.514 -7.373 0.764
Tm -7.173 1.763 1.635
O -5.176 -3.938 1.725
O 0.014 -2.302 0.163
O -1.750 -4.594 -4.594
O -3.821 -4.258 -1.358
O -5.177 -4.711 -4.424
O -1.442 -5.387 -0.223
Tm -1.767 -2.394 -4.628
Tm -0.057 0.584 -4.459
O -5.447 0.466 1.121
Tm -5.316 0.853 -1.133
O -3.849 -2.018 -3.960
O -5.499 -1.597 3.349
Tm -5.563 -3.818 3.907
O -2.021 -0.190 -5.199
Tm -3.238 -4.379 0.780
O -2.021 0.583 0.951
O 0.006 -6.004 -2.820
O -3.724 2.316 -4.977
O -3.473 -6.443 1.504
O -6.846 -4.494 -1.222
O -1.579 -2.783 -2.378
```

Formation energy from the elements = -4025.4 meV/atom
Magnetization = 0.00 μB/cell
Calculated total energy = -21.657 eV/atom

# 4
Here is a geometry-optimized Tm2O3 structure from the Materials Project. Energies are from meta-GGA r2SCAN.

The structure in extended XYZ format:
```
15
Lattice="3.405 0.000 0.000 -1.702 6.748 -1.221 0.000 0.007 8.430" Properties=species:S:1:pos:R:3 pbc="T T T"
O 0.000 1.722 2.062
Tm 0.000 4.176 6.518
O 1.702 4.394 -0.532
Tm 1.702 1.827 3.775
Tm 0.000 0.448 6.779
O 1.702 0.000 0.000
O 0.000 2.362 7.741
O 1.702 3.960 2.462
Tm 1.702 2.580 0.691
O 1.702 0.406 5.463
Tm 1.702 6.308 0.429
O 0.000 6.349 1.745
Tm 0.000 4.928 3.434
O 0.000 2.795 4.747
O 1.702 5.034 5.147
```

Formation energy from the elements = -3986.8 meV/atom
Magnetization = 0.00 μB/cell
Calculated total energy = -21.619 eV/atom

# 5
Here is a geometry-optimized Tm2O3 structure from the Materials Project. Energies are from meta-GGA r2SCAN.

The structure in extended XYZ format:
```
5
Lattice="3.581 0.000 0.000 -1.790 3.101 0.000 0.000 0.000 5.730" Properties=species:S:1:pos:R:3 pbc="T T T"
O 0.000 0.000 0.000
O 0.000 2.067 3.703
Tm 0.000 2.067 1.432
Tm 1.790 1.034 4.298
O 1.790 1.034 2.026
```

Formation energy from the elements = -3957.1 meV/atom
Magnetization = 0.00 μB/cell
Calculated total energy = -21.589 eV/atom

# 6
Here is a geometry-optimized Tm2V2O7 structure from the Materials Project. Energies are from meta-GGA r2SCAN.

The structure in extended XYZ format:
```
22
Lattice="5.304 -2.948 3.503 -0.423 -6.699 2.011 3.987 -4.850 -3.111" Properties=species:S:1:pos:R:3 pbc="T T T"
O 4.695 -8.651 3.723
O 0.200 -3.396 0.937
O 2.578 -1.838 1.557
O 1.856 -5.410 -0.355
V 3.761 -3.286 2.052
O 4.943 -4.734 2.547
Tm 3.549 -6.635 3.057
O 4.434 -7.248 1.202
Tm 5.542 -9.061 1.502
Tm 5.754 -5.711 0.497
O 3.925 -9.763 -0.144
O 1.594 -6.927 1.675
O 4.173 -5.846 -1.320
O 7.274 -7.570 0.728
O 4.234 -3.853 0.265
O 6.651 -10.873 1.802
Tm 2.890 -7.587 -0.250
O 2.403 -4.620 2.392
V 1.108 -1.812 0.300
O 2.031 -2.628 -1.190
V 3.102 -4.237 -1.255
V 0.897 -5.161 1.306
```

Formation energy from the elements = -3295.6 meV/atom
Magnetization = 4.00 μB/cell
Calculated total energy = -16.044 eV/atom

# 7
Here is a geometry-optimized TmVO4 structure from the Materials Project. Energies are from meta-GGA r2SCAN.

The structure in extended XYZ format:
```
12
Lattice="-4.578 2.832 -2.327 0.281 -5.747 -1.135 -0.509 0.520 5.819" Properties=species:S:1:pos:R:3 pbc="T T T"
O -1.174 -0.369 -0.469
O -1.209 -2.604 4.269
Tm -0.454 -4.544 0.170
V -1.923 -2.140 2.782
O -3.598 0.209 -1.912
O -1.123 -0.648 2.516
Tm -4.353 2.150 2.186
O -3.684 -1.747 -0.159
O -3.633 -2.026 2.825
O -1.729 -3.281 1.518
V -2.883 -0.255 -0.426
O -3.078 0.886 0.838
```

Formation energy from the elements = -3301.7 meV/atom
Magnetization = 0.00 μB/cell
Calculated total energy = -15.485 eV/atom

# 8
Here is a geometry-optimized Tm6WO12 structure from the Materials Project. Energies are from meta-GGA r2SCAN.

The structure in extended XYZ format:
```
19
Lattice="-2.612 5.653 -1.125 -5.016 -3.644 -1.268 -0.388 0.003 6.316" Properties=species:S:1:pos:R:3 pbc="T T T"
O -3.868 1.731 4.034
O -2.847 -0.562 2.979
W 0.000 0.000 0.000
Tm -6.226 0.739 0.602
Tm -1.790 1.273 3.322
O -2.596 2.688 1.826
O -5.420 -0.676 2.097
Tm -3.566 -1.413 1.070
O -5.162 -3.067 0.576
Tm -4.769 -0.287 4.104
O -6.463 0.607 -1.733
Tm -4.450 3.425 2.853
O -2.854 5.079 3.347
Tm -3.247 2.299 -0.181
O -3.965 -2.352 4.887
O -4.148 0.282 -0.111
O -4.050 4.364 -0.964
O -5.169 2.574 0.944
O -1.553 1.405 5.657
```

Formation energy from the elements = -3735.6 meV/atom
Magnetization = 0.00 μB/cell
Calculated total energy = -21.302 eV/atom